The following is a PBE calculation of an optimized crystal structure of Nd2Fe2Si2C, from Materials Project.

```
Nd2Fe2Si2C
1.0
1.999 5.407 0.000
-1.999 5.407 0.000
0.000 4.350 5.448
Nd Fe Si C
2 2 2 1
Cartesian
0.000 13.659 4.354
0.000 1.505 1.094
0.000 5.848 3.202
0.000 9.315 2.246
0.000 10.627 4.144
0.000 4.536 1.304
0.000 7.582 2.724
```

SG = C2/m, No. 12
Calculated density = 6.6 g cm⁻³
Size of the total moment = 0.00 Bohr magnetons per cell
Energy of formation from the pure elements = -0.60 eV/atom
Total DFT energy (no corrections) = -7.25 eV/atom